1.
Compound: ErAl10Fe2
Source: the Materials Project database
Functional: r2SCAN
Structure: optimized geometry

abc: 6.693 6.693 8.859
angles: 90.00 90.00 97.39
Fractional coordinates of all 26 atoms:
Er: 0.126 0.874 0.750
Er: 0.874 0.126 0.250
Al: 0.134 0.414 0.750
Al: 0.158 0.842 0.097
Al: 0.158 0.842 0.403
Al: 0.219 0.479 0.250
Al: 0.227 0.227 0.000
Al: 0.227 0.227 0.500
Al: 0.375 0.625 0.550
Al: 0.375 0.625 0.950
Al: 0.414 0.134 0.250
Al: 0.479 0.219 0.750
Al: 0.521 0.781 0.250
Al: 0.586 0.866 0.750
Al: 0.625 0.375 0.050
Al: 0.625 0.375 0.450
Al: 0.773 0.773 0.000
Al: 0.773 0.773 0.500
Al: 0.781 0.521 0.750
Al: 0.842 0.158 0.597
Al: 0.842 0.158 0.903
Al: 0.866 0.586 0.250
Fe: 0.000 0.500 0.000
Fe: 0.000 0.500 0.500
Fe: 0.500 0.000 0.000
Fe: 0.500 0.000 0.500

Summary:
- Space-group type: Cmcm (63)
- Total magnetic moment: 0.00 μB per cell
- Formation energy: -0.31 eV/atom

=====

2.
Compound: MgMnO2
Source: the Materials Project database
Functional: r2SCAN
Structure: optimized geometry

abc: 6.101 6.101 6.101
angles: 119.88 119.88 90.21
Fractional coordinates of all 16 atoms:
Mg: 0.000 0.000 0.000
Mg: 0.000 0.000 0.500
Mg: 0.000 0.500 0.000
Mg: 0.500 0.000 0.500
Mn: 0.000 0.500 0.500
Mn: 0.500 0.000 0.000
Mn: 0.500 0.500 0.000
Mn: 0.500 0.500 0.500
O: 0.234 0.244 0.990
O: 0.244 0.234 0.490
O: 0.244 0.755 0.010
O: 0.245 0.756 0.490
O: 0.755 0.244 0.510
O: 0.756 0.245 0.990
O: 0.756 0.766 0.510
O: 0.766 0.756 0.010

Summary:
- Space-group type: I4_1/amd (141)
- Total magnetic moment: 0.00 μB per cell
- Formation energy: -2.46 eV/atom

=====

3.
Compound: KAgSnSe3
Source: the Materials Project database
Functional: r2SCAN
Structure: optimized geometry

abc: 8.288 8.288 20.473
angles: 90.00 90.00 90.00
Fractional coordinates of all 48 atoms:
K: 0.000 0.000 0.000
K: 0.000 0.000 0.190
K: 0.000 0.000 0.500
K: 0.000 0.000 0.690
K: 0.500 0.500 0.041
K: 0.500 0.500 0.334
K: 0.500 0.500 0.541
K: 0.500 0.500 0.834
Ag: 0.007 0.318 0.345
Ag: 0.007 0.682 0.845
Ag: 0.318 0.007 0.845
Ag: 0.318 0.993 0.345
Ag: 0.682 0.007 0.345
Ag: 0.682 0.993 0.845
Ag: 0.993 0.318 0.845
Ag: 0.993 0.682 0.345
Sn: 0.000 0.500 0.009
Sn: 0.000 0.500 0.184
Sn: 0.000 0.500 0.509
Sn: 0.000 0.500 0.684
Sn: 0.500 0.000 0.009
Sn: 0.500 0.000 0.184
Sn: 0.500 0.000 0.509
Sn: 0.500 0.000 0.684
Se: 0.154 0.332 0.096
Se: 0.154 0.668 0.596
Se: 0.184 0.322 0.751
Se: 0.184 0.678 0.251
Se: 0.192 0.329 0.442
Se: 0.192 0.671 0.942
Se: 0.322 0.184 0.251
Se: 0.322 0.816 0.751
Se: 0.329 0.192 0.942
Se: 0.329 0.808 0.442
Se: 0.332 0.154 0.596
Se: 0.332 0.846 0.096
Se: 0.668 0.154 0.096
Se: 0.668 0.846 0.596
Se: 0.671 0.192 0.442
Se: 0.671 0.808 0.942
Se: 0.678 0.184 0.751
Se: 0.678 0.816 0.251
Se: 0.808 0.329 0.942
Se: 0.808 0.671 0.442
Se: 0.816 0.322 0.251
Se: 0.816 0.678 0.751
Se: 0.846 0.332 0.596
Se: 0.846 0.668 0.096

Summary:
- Space-group type: P4cc (103)
- Total magnetic moment: 0.00 μB per cell
- Formation energy: -0.70 eV/atom

=====

4.
Compound: Al2O3
Source: the Materials Project database
Functional: r2SCAN
Structure: optimized geometry

abc: 5.178 5.178 5.178
angles: 55.29 55.29 55.29
Fractional coordinates of all 10 atoms:
Al: 0.148 0.148 0.148
Al: 0.352 0.352 0.352
Al: 0.648 0.648 0.648
Al: 0.852 0.852 0.852
O: 0.056 0.750 0.444
O: 0.250 0.556 0.944
O: 0.444 0.056 0.750
O: 0.556 0.944 0.250
O: 0.750 0.444 0.056
O: 0.944 0.250 0.556

Summary:
- Space-group type: R-3c (167)
- Total magnetic moment: 0.00 μB per cell
- Formation energy: -3.35 eV/atom

=====

5.
Compound: Li2NdTl
Source: the Materials Project database
Functional: r2SCAN
Structure: optimized geometry

abc: 4.925 4.925 4.925
angles: 60.00 60.00 60.00
Fractional coordinates of all 4 atoms:
Li: 0.250 0.250 0.250
Li: 0.750 0.750 0.750
Nd: 0.000 0.000 0.000
Tl: 0.500 0.500 0.500

Summary:
- Space-group type: Fm-3m (225)
- Total magnetic moment: 0.00 μB per cell
- Formation energy: -0.34 eV/atom

=====

6.
Compound: Sm3P6Pd20
Source: the Materials Project database
Functional: r2SCAN
Structure: optimized geometry

abc: 8.660 8.660 8.660
angles: 60.00 60.00 60.00
Fractional coordinates of all 29 atoms:
Sm: 0.000 0.000 0.000
Sm: 0.250 0.250 0.250
Sm: 0.750 0.750 0.750
P: 0.263 0.263 0.737
P: 0.263 0.737 0.263
P: 0.263 0.737 0.737
P: 0.737 0.263 0.263
P: 0.737 0.263 0.737
P: 0.737 0.737 0.263
Pd: 0.000 0.000 0.347
Pd: 0.000 0.000 0.653
Pd: 0.000 0.347 0.000
Pd: 0.000 0.347 0.653
Pd: 0.000 0.653 0.000
Pd: 0.000 0.653 0.347
Pd: 0.156 0.615 0.615
Pd: 0.347 0.000 0.000
Pd: 0.347 0.000 0.653
Pd: 0.347 0.653 0.000
Pd: 0.385 0.385 0.385
Pd: 0.385 0.385 0.844
Pd: 0.385 0.844 0.385
Pd: 0.615 0.156 0.615
Pd: 0.615 0.615 0.156
Pd: 0.615 0.615 0.615
Pd: 0.653 0.000 0.000
Pd: 0.653 0.000 0.347
Pd: 0.653 0.347 0.000
Pd: 0.844 0.385 0.385

Summary:
- Space-group type: Fm-3m (225)
- Total magnetic moment: 0.00 μB per cell
- Formation energy: -0.75 eV/atom

=====

7.
Compound: Pr3CoBr3
Source: the Materials Project database
Functional: r2SCAN
Structure: optimized geometry

abc: 10.345 10.345 10.374
angles: 109.39 109.39 109.34
Fractional coordinates of all 28 atoms:
Pr: 0.000 0.000 0.000
Pr: 0.000 0.199 0.732
Pr: 0.037 0.481 0.484
Pr: 0.041 0.754 0.292
Pr: 0.236 0.217 0.486
Pr: 0.246 0.959 0.708
Pr: 0.252 0.482 0.269
Pr: 0.518 0.748 0.731
Pr: 0.519 0.963 0.516
Pr: 0.783 0.764 0.514
Pr: 0.787 0.213 0.000
Pr: 0.801 0.000 0.268
Co: 0.016 0.984 0.500
Co: 0.021 0.234 0.255
Co: 0.270 0.730 0.500
Co: 0.766 0.979 0.745
Br: 0.016 0.726 0.757
Br: 0.018 0.489 0.996
Br: 0.274 0.984 0.243
Br: 0.276 0.490 0.766
Br: 0.279 0.237 0.005
Br: 0.510 0.724 0.234
Br: 0.511 0.982 0.004
Br: 0.526 0.242 0.757
Br: 0.526 0.474 0.500
Br: 0.758 0.474 0.243
Br: 0.760 0.240 0.500
Br: 0.763 0.721 0.995

Summary:
- Space-group type: C2 (5)
- Total magnetic moment: 1.96 μB per cell
- Formation energy: -1.35 eV/atom

=====

8.
Compound: U2PS
Source: the Materials Project database
Functional: r2SCAN
Structure: optimized geometry

abc: 7.203 7.203 7.203
angles: 31.25 31.25 31.25
Fractional coordinates of all 4 atoms:
U: 0.249 0.249 0.249
U: 0.751 0.751 0.751
P: 0.500 0.500 0.500
S: 0.000 0.000 0.000

Summary:
- Space-group type: R-3m (166)
- Distance to the lowest polymorph of the same formula: 1 kJ/mol of formula units
- Total magnetic moment: 5.26 μB per cell
- Formation energy: -1.58 eV/atom